# PBE+U BaSrTbWO6, relaxed
data_BaSrTbWO6
_chemical_formula_sum 'Ba2 Sr2 Tb2 W2 O12'
_cell_length_a 5.975
_cell_length_b 5.999
_cell_length_c 8.423
_cell_angle_alpha 89.44
_cell_angle_beta 89.94
_cell_angle_gamma 89.67
_space_group_name_H-M_alt 'P -1'
_space_group_IT_number 2
_space_group_name_Hall '-P 1'
loop_
_atom_site_label
_atom_site_type_symbol
_atom_site_fract_x
_atom_site_fract_y
_atom_site_fract_z
Ba1 Ba 0.022 0.494 0.249
Sr1 Sr 0.476 0.996 0.748
Tb1 Tb 0.000 0.000 0.000
Tb2 Tb 0.500 0.500 0.500
W1 W 0.000 0.000 0.500
W2 W 0.500 0.500 0.000
O1 O 0.009 0.056 0.734
O2 O 0.209 0.740 0.526
O3 O 0.238 0.712 0.966
O4 O 0.272 0.204 0.467
O5 O 0.299 0.232 0.030
O6 O 0.500 0.433 0.767
# ΔE to the lowest computed polymorph: 0 meV/atom
# Calculated formation energy: -3133 meV/atom


# PBE+U Mo8O23, relaxed
data_Mo8O23
_chemical_formula_sum 'Mo16 O46'
_cell_length_a 13.698
_cell_length_b 4.078
_cell_length_c 17.353
_cell_angle_alpha 90.00
_cell_angle_beta 106.45
_cell_angle_gamma 90.00
_space_group_name_H-M_alt 'P 1 2/c 1'
_space_group_IT_number 13
_space_group_name_Hall '-P 2yc'
loop_
_atom_site_label
_atom_site_type_symbol
_atom_site_fract_x
_atom_site_fract_y
_atom_site_fract_z
Mo1 Mo 0.054 0.085 0.097
Mo2 Mo 0.185 0.080 0.920
Mo3 Mo 0.315 0.073 0.254
Mo4 Mo 0.436 0.075 0.583
O1 O 0.043 0.010 0.348
O2 O 0.053 0.488 0.593
O3 O 0.089 0.002 0.996
O4 O 0.173 0.009 0.173
O5 O 0.180 0.492 0.423
O6 O 0.238 0.014 0.837
O7 O 0.300 0.004 0.004
O8 O 0.307 0.499 0.754
O9 O 0.370 0.005 0.170
O10 O 0.434 0.005 0.335
O11 O 0.434 0.498 0.085
O12 O 0.500 0.000 0.000
# ΔE to the lowest computed polymorph: 4 meV/atom
# Calculated formation energy: -1931 meV/atom